A plane-wave DFT calculation with meta-GGA r2SCAN was carried out for a relaxed Cd3Hg crystal.

Unit cell a=6.2749 b=6.2749 c=5.1984 alpha=90.00 beta=90.00 gamma=120.00
Closest atoms and distances in Å follow each position.
Positions (direct):
1 Cd 0.1663 0.3327 0.2500  8 Cd 3.13-3.17, 4 Hg 3.14-3.17
2 Cd 0.1663 0.8337 0.2500  8 Cd 3.13-3.17, 4 Hg 3.14-3.17
3 Cd 0.3327 0.1663 0.7500  8 Cd 3.13-3.17, 4 Hg 3.14-3.17
4 Cd 0.6673 0.8337 0.2500  8 Cd 3.13-3.17, 4 Hg 3.14-3.17
5 Cd 0.8337 0.1663 0.7500  8 Cd 3.13-3.17, 4 Hg 3.14-3.17
6 Cd 0.8337 0.6673 0.7500  8 Cd 3.13-3.17, 4 Hg 3.14-3.17
7 Hg 0.3333 0.6667 0.7500  12 Cd 3.14-3.17
8 Hg 0.6667 0.3333 0.2500  12 Cd 3.14-3.17

Values from the calculation:
Energy of formation from the pure elements   0.034 eV per atom
Raw total energy   -27.387 eV/atom
M_tot   0.000 μB per atom



A plane-wave DFT calculation with meta-GGA r2SCAN was carried out for a relaxed Ho2CdHg crystal.

Unit cell a=5.2128 b=5.2128 c=5.2128 alpha=60.00 beta=60.00 gamma=60.00
Closest atoms and distances in Å follow each position.
Positions (direct):
1 Ho 0.2500 0.2500 0.2500  4 Cd 3.19, 4 Hg 3.19
2 Ho 0.7500 0.7500 0.7500  4 Hg 3.19, 4 Cd 3.19
3 Cd 0.0000 0.0000 0.0000  8 Ho 3.19
4 Hg 0.5000 0.5000 0.5000  8 Ho 3.19

Values from the calculation:
Energy of formation from the pure elements   -0.473 eV per atom
Raw total energy   -34.282 eV/atom
M_tot   0.000 μB per atom